The following is a DFT calculation (PBE) of a relaxed NaYNb3SiP5O24 crystal.

Energy with MP2020 corrections = -8.407 eV/atom

abc: 8.899 8.901 23.140
angles: 89.81 89.95 60.02
Space group P1 (No. 1)
Asymmetric unit:
Na1 0.000 0.000 0.000
Na2 0.003 0.998 0.499
Na3 0.337 0.331 0.159
Y1 0.003 0.999 0.141
Y2 0.003 0.999 0.642
Y3 0.341 0.329 0.017
Nb1 0.002 0.000 0.848
Nb2 0.005 0.999 0.351
Nb3 0.331 0.335 0.521
Nb4 0.334 0.335 0.312
Nb5 0.340 0.333 0.811
Nb6 0.669 0.664 0.470
Nb7 0.670 0.663 0.971
Nb8 0.670 0.664 0.686
Nb9 0.670 0.665 0.186
Si1 0.053 0.328 0.415
Si2 0.332 0.619 0.414
Si3 0.631 0.329 0.913
P1 0.004 0.705 0.247
P2 0.006 0.291 0.746
P3 0.045 0.625 0.912
P4 0.296 0.000 0.247
P5 0.296 0.704 0.746
P6 0.334 0.040 0.912
P7 0.391 0.665 0.079
P8 0.393 0.948 0.577
P9 0.622 0.050 0.414
P10 0.665 0.387 0.577
P11 0.669 0.944 0.079
P12 0.709 0.290 0.247
P13 0.709 0.999 0.747
P14 0.949 0.387 0.079
P15 0.952 0.661 0.578
O1 0.019 0.809 0.897
O2 0.027 0.160 0.403
O3 0.044 0.184 0.693
O4 0.046 0.772 0.194
O5 0.124 0.378 0.081
O6 0.132 0.492 0.570
O7 0.135 0.506 0.859
O8 0.146 0.355 0.358
O9 0.153 0.561 0.966
O10 0.156 0.321 0.763
O11 0.161 0.519 0.260
O12 0.161 0.810 0.403
O13 0.177 0.295 0.471
O14 0.181 0.008 0.897
O15 0.187 0.042 0.194
O16 0.189 0.773 0.692
O17 0.201 0.973 0.301
O18 0.209 0.824 0.799
O19 0.213 0.970 0.580
O20 0.216 0.832 0.079
O21 0.287 0.149 0.966
O22 0.304 0.524 0.470
O23 0.322 0.522 0.761
O24 0.327 0.154 0.261
O25 0.360 0.133 0.859
O26 0.365 0.498 0.358
O27 0.381 0.500 0.081
O28 0.384 0.126 0.569
O29 0.477 0.835 0.240
O30 0.480 0.684 0.736
O31 0.488 0.836 0.524
O32 0.489 0.674 0.024
O33 0.497 0.658 0.135
O34 0.498 0.374 0.569
O35 0.498 0.860 0.920
O36 0.499 0.645 0.425
O37 0.501 0.859 0.633
O38 0.502 0.119 0.082
O39 0.504 0.356 0.857
O40 0.510 0.132 0.360
O41 0.526 0.150 0.762
O42 0.526 0.317 0.260
O43 0.540 0.164 0.468
O44 0.567 0.279 0.970
O45 0.644 0.496 0.633
O46 0.644 0.868 0.424
O47 0.652 0.501 0.921
O48 0.664 0.844 0.135
O49 0.677 0.840 0.025
O50 0.682 0.483 0.524
O51 0.691 0.472 0.239
O52 0.691 0.834 0.737
O53 0.776 0.040 0.693
O54 0.778 0.182 0.194
O55 0.805 0.027 0.404
O56 0.825 0.208 0.580
O57 0.826 0.166 0.896
O58 0.829 0.197 0.301
O59 0.831 0.967 0.799
O60 0.835 0.955 0.080
O61 0.839 0.474 0.736
O62 0.841 0.678 0.524
O63 0.842 0.685 0.240
O64 0.844 0.485 0.024
O65 0.850 0.492 0.135
O66 0.862 0.648 0.920
O67 0.864 0.499 0.425
O68 0.865 0.639 0.633
O69 0.958 0.211 0.079
O70 0.973 0.200 0.799
O71 0.975 0.818 0.580
O72 0.978 0.823 0.301